! r²SCAN Ba2H6Os, relaxed; values from VASP
&SYSTEM
  ibrav = 0, nat = 9, ntyp = 3
/
ATOMIC_SPECIES
H 1.01 H.upf
Ba 137.33 Ba.upf
Os 190.23 Os.upf
CELL_PARAMETERS angstrom
-1.790 -5.078 1.937
-3.141 -0.296 4.774
-5.544 -1.385 -0.304
ATOMIC_POSITIONS angstrom
H -4.039 -1.616 4.101
H -7.209 -2.409 3.928
H -6.436 -5.143 2.305
Ba -7.856 -5.070 4.805
Os 0.000 0.000 0.000
H -3.266 -4.351 2.479
H -5.062 -4.520 5.209
H -5.413 -2.239 1.198
Ba -2.619 -1.690 1.602
! space-group type = Fm-3m (225)
! E = -132.337 eV for the cell shown
! ΔE_f = -0.62 eV per atom